(1)
Below is an optimized crystal structure of CeYCo4, with properties calculated at the PBE level.

Cell lengths 5.0205, 5.0205, 5.0205 Å; angles 60.00, 60.00, 60.00 degrees
Atoms (fractional coordinates):
Ce  0.0000  0.0000  0.0000
Y  0.2500  0.2500  0.2500
Co  0.1254  0.6249  0.6249
Co  0.6249  0.1254  0.6249
Co  0.6249  0.6249  0.1254
Co  0.6249  0.6249  0.6249

Calculated values
The total energy comes out at -41.90 eV/cell. The total moment is 0.75 μB/f.u. The calculation puts the formation energy at -0.178 eV per atom.

---

(2)
Below is an optimized crystal structure of RbInF3, with properties calculated at the PBE level.

Cell lengths 6.6620, 6.6620, 6.6620 Å; angles 60.00, 60.00, 60.00 degrees
Atoms (fractional coordinates):
Rb  0.2500  0.2500  0.2500
Rb  0.7500  0.7500  0.7500
In  0.0000  0.0000  0.0000
In  0.5000  0.5000  0.5000
F  0.2248  0.2248  0.7752
F  0.2248  0.7752  0.2248
F  0.2248  0.7752  0.7752
F  0.7752  0.2248  0.2248
F  0.7752  0.2248  0.7752
F  0.7752  0.7752  0.2248

Calculated values
The total energy comes out at -43.50 eV/cell. The calculation puts the formation energy at -2.732 eV per atom.

---

(3)
Below is an optimized crystal structure of GeXeF10, with properties calculated at the PBE level.

Cell lengths 13.4278, 7.2525, 7.5474 Å; angles 90.00, 90.00, 90.00 degrees
Atoms (fractional coordinates):
Ge  0.0000  0.0000  0.0000
Ge  0.0000  0.5000  0.0000
Ge  0.5000  0.0000  0.5000
Ge  0.5000  0.5000  0.5000
Xe  0.1355  0.2500  0.3544
Xe  0.3645  0.7500  0.8544
Xe  0.6355  0.2500  0.1456
Xe  0.8645  0.7500  0.6456
F  0.0264  0.2500  0.5300
F  0.0265  0.5634  0.7753
F  0.0265  0.9366  0.7753
F  0.0292  0.7500  0.0769
F  0.1274  0.0639  0.0424
F  0.1274  0.4361  0.0424
F  0.1518  0.5183  0.3959
F  0.1518  0.9817  0.3959
F  0.2140  0.2500  0.5750
F  0.2293  0.7500  0.7503
F  0.2707  0.2500  0.2503
F  0.2860  0.7500  0.0750
F  0.3482  0.0183  0.8959
F  0.3482  0.4817  0.8959
F  0.3726  0.5639  0.5424
F  0.3726  0.9361  0.5424
F  0.4708  0.2500  0.5769
F  0.4735  0.0634  0.2753
F  0.4735  0.4366  0.2753
F  0.4736  0.7500  0.0300
F  0.5264  0.2500  0.9700
F  0.5265  0.5634  0.7247
F  0.5265  0.9366  0.7247
F  0.5292  0.7500  0.4231
F  0.6274  0.0639  0.4576
F  0.6274  0.4361  0.4576
F  0.6518  0.5183  0.1041
F  0.6518  0.9817  0.1041
F  0.7140  0.2500  0.9250
F  0.7293  0.7500  0.7497
F  0.7707  0.2500  0.2497
F  0.7860  0.7500  0.4250
F  0.8482  0.0183  0.6041
F  0.8482  0.4817  0.6041
F  0.8726  0.5639  0.9576
F  0.8726  0.9361  0.9576
F  0.9708  0.2500  0.9231
F  0.9735  0.0634  0.2247
F  0.9735  0.4366  0.2247
F  0.9736  0.7500  0.4700

Calculated values
The total energy comes out at -152.43 eV/cell. The total moment is 0.00 μB/f.u. The calculation puts the formation energy at -1.577 eV per atom.

---

(4)
Below is an optimized crystal structure of BaSrCe2O6, with properties calculated at the PBE level.

Cell lengths 6.1976, 6.1976, 4.4814 Å; angles 90.00, 90.00, 90.73 degrees
Atoms (fractional coordinates):
Ba  0.0000  0.0000  0.0000
Sr  0.5000  0.5000  0.0000
Ce  0.0000  0.5000  0.5000
Ce  0.5000  0.0000  0.5000
O  0.0000  0.5000  0.0000
O  0.1889  0.8111  0.5000
O  0.3163  0.3163  0.5000
O  0.5000  0.0000  0.0000
O  0.6837  0.6837  0.5000
O  0.8111  0.1889  0.5000

Calculated values
The value obtained for the energy above the most stable polymorph in this dataset is 38 meV per atom. The total energy comes out at -76.58 eV/cell. The total moment is 0.00 μB/f.u. The calculation puts the formation energy at -3.554 eV per atom.

---

(5)
Below is an optimized crystal structure of NaLuTiO4, with properties calculated at the PBE level.

Cell lengths 12.3004, 5.4038, 5.2641 Å; angles 90.00, 90.00, 90.00 degrees
Atoms (fractional coordinates):
Na  0.0867  0.0005  0.2500
Na  0.0867  0.4995  0.7500
Na  0.9133  0.5005  0.2500
Na  0.9133  0.9995  0.7500
Lu  0.3959  0.0301  0.2500
Lu  0.3959  0.4699  0.7500
Lu  0.6041  0.5301  0.2500
Lu  0.6041  0.9699  0.7500
Ti  0.2425  0.5087  0.2500
Ti  0.2425  0.9913  0.7500
Ti  0.7575  0.0087  0.2500
Ti  0.7575  0.4913  0.7500
O  0.0999  0.5410  0.2500
O  0.0999  0.9590  0.7500
O  0.2630  0.2500  0.0000
O  0.2630  0.2500  0.5000
O  0.2964  0.7500  0.0000
O  0.2964  0.7500  0.5000
O  0.4404  0.0820  0.7500
O  0.4404  0.4180  0.2500
O  0.5596  0.5820  0.7500
O  0.5596  0.9180  0.2500
O  0.7036  0.2500  0.0000
O  0.7036  0.2500  0.5000
O  0.7370  0.7500  0.0000
O  0.7370  0.7500  0.5000
O  0.9001  0.0410  0.2500
O  0.9001  0.4590  0.7500

Calculated values
The total energy comes out at -218.33 eV/cell. The total moment is 0.00 μB/f.u. The calculation puts the formation energy at -3.400 eV per atom.

---

(6)
Below is an optimized crystal structure of KGaP2O7, with properties calculated at the PBE level.

Cell lengths 7.4451, 9.9851, 8.2966 Å; angles 90.00, 106.91, 90.00 degrees
Atoms (fractional coordinates):
K  0.1770  0.1790  0.0564
K  0.1770  0.3210  0.5564
K  0.8230  0.6790  0.4436
K  0.8230  0.8210  0.9436
Ga  0.2380  0.6008  0.2594
Ga  0.2380  0.8992  0.7594
Ga  0.7620  0.1008  0.2406
Ga  0.7620  0.3992  0.7406
P  0.1294  0.5969  0.8305
P  0.1294  0.9031  0.3305
P  0.4384  0.6341  0.6905
P  0.4384  0.8659  0.1905
P  0.5616  0.1341  0.8095
P  0.5616  0.3659  0.3095
P  0.8706  0.0969  0.6695
P  0.8706  0.4031  0.1695
O  0.0084  0.5046  0.2779
O  0.0084  0.9954  0.7779
O  0.0798  0.7369  0.7525
O  0.0798  0.7631  0.2525
O  0.1436  0.5922  0.0147
O  0.1436  0.9078  0.5147
O  0.3202  0.6041  0.5114
O  0.3202  0.8959  0.0114
O  0.3337  0.5558  0.8111
O  0.3337  0.9442  0.3111
O  0.3626  0.0761  0.7632
O  0.3626  0.4239  0.2632
O  0.4520  0.7173  0.2433
O  0.4520  0.7827  0.7433
O  0.5480  0.2173  0.2567
O  0.5480  0.2827  0.7567
O  0.6374  0.5761  0.7368
O  0.6374  0.9239  0.2368
O  0.6663  0.0558  0.6889
O  0.6663  0.4442  0.1889
O  0.6798  0.1041  0.9886
O  0.6798  0.3959  0.4886
O  0.8564  0.0922  0.4853
O  0.8564  0.4078  0.9853
O  0.9202  0.2369  0.7475
O  0.9202  0.2631  0.2475
O  0.9916  0.0046  0.2221
O  0.9916  0.4954  0.7221

Calculated values
The total energy comes out at -295.42 eV/cell. The calculation puts the formation energy at -2.642 eV per atom.